Below is K3CaV5O15 after structural relaxation, with properties calculated at the GGA+U level.

Properties
- space group = Cmme, No. 67
- VASP energy (eV per atom) = -6.95
- spin magnetization (μB/f.u.) = 0.066

Unit cell a=15.4580 b=15.4580 c=7.9662 alpha=90.00 beta=90.00 gamma=117.66
Last column: nearest neighbours and their distance in Å.
Fractional positions:
K  0.3799  0.8799  0.7986  5 O 2.78-3.10
K  0.1201  0.6201  0.7986  5 O 2.78-3.10
K  0.1002  0.8998  0.9219  6 O 2.69-2.90
K  0.8365  0.6635  0.5000  6 O 2.70-2.94
K  0.8799  0.3799  0.2014  5 O 2.78-3.10
K  0.3998  0.6002  0.9219  6 O 2.69-2.90
K  0.3365  0.1635  0.5000  6 O 2.70-2.94
K  0.8998  0.1002  0.0781  6 O 2.69-2.90
K  0.6002  0.3998  0.0781  6 O 2.69-2.90
K  0.1635  0.3365  0.5000  6 O 2.70-2.94
K  0.6635  0.8365  0.5000  6 O 2.70-2.94
K  0.6201  0.1201  0.2014  5 O 2.78-3.10
Ca  0.6551  0.8449  0.0000  8 O 2.42-2.65
Ca  0.3449  0.1551  0.0000  8 O 2.42-2.65
Ca  0.8449  0.6551  0.0000  8 O 2.42-2.65
Ca  0.1551  0.3449  0.0000  8 O 2.42-2.65
V  0.3450  0.6550  0.5173  4 O 1.66-1.84
V  0.0217  0.6559  0.2214  4 O 1.68-1.82
V  0.8876  0.8913  0.7238  4 O 1.68-1.83
V  0.3441  0.9783  0.2214  4 O 1.68-1.82
V  0.6087  0.6124  0.2762  4 O 1.68-1.83
V  0.6124  0.6087  0.7238  4 O 1.68-1.83
V  0.8913  0.8876  0.2762  4 O 1.68-1.83
V  0.5217  0.1559  0.7786  4 O 1.68-1.82
V  0.3913  0.3876  0.7238  4 O 1.68-1.83
V  0.9783  0.3441  0.7786  4 O 1.68-1.82
V  0.6550  0.3450  0.4827  4 O 1.66-1.84
V  0.1087  0.1124  0.7238  4 O 1.68-1.83
V  0.6559  0.0217  0.7786  4 O 1.68-1.82
V  0.1124  0.1087  0.2762  4 O 1.68-1.83
V  0.4783  0.8441  0.2214  4 O 1.68-1.82
V  0.3876  0.3913  0.2762  4 O 1.68-1.83
V  0.1559  0.5217  0.2214  4 O 1.68-1.82
V  0.8450  0.1550  0.4827  4 O 1.66-1.84
V  0.8441  0.4783  0.7786  4 O 1.68-1.82
V  0.1550  0.8450  0.5173  4 O 1.66-1.84
O  0.9064  0.0936  0.4411  1 V 1.66
O  0.5936  0.4064  0.4411  1 V 1.66
O  0.2987  0.3991  0.8143  1 V 1.68
O  0.9095  0.5999  0.7511  1 V 1.68
O  0.2666  0.9224  0.3992  2 V 1.80-1.84
O  0.8651  0.8651  0.5000  2 V 1.83
O  0.0999  0.4095  0.7511  1 V 1.68
O  0.2334  0.5776  0.3992  2 V 1.80-1.84
O  0.7824  0.4656  0.9579  1 V 1.68
O  0.7176  0.0344  0.9579  1 V 1.68
O  0.7880  0.8943  0.8011  1 V 1.68
O  0.4944  0.5056  0.2252  2 V 1.82
O  0.1057  0.2120  0.8011  1 V 1.68
O  0.3132  0.6868  0.7000  1 V 1.68
O  0.6349  0.6349  0.5000  2 V 1.83
O  0.4001  0.0905  0.7511  1 V 1.68
O  0.4224  0.7666  0.3992  2 V 1.80-1.84
O  0.8943  0.7880  0.1989  1 V 1.68
O  0.4064  0.5936  0.5589  1 V 1.66
O  0.2013  0.1009  0.8143  1 V 1.68
O  0.6057  0.7120  0.1989  1 V 1.68
O  0.7666  0.4224  0.6008  2 V 1.80-1.84
O  0.0905  0.4001  0.2489  1 V 1.68
O  0.2120  0.1057  0.1989  1 V 1.68
O  0.7120  0.6057  0.8011  1 V 1.68
O  0.9303  0.4303  0.8109  2 V 1.82
O  0.7013  0.6009  0.1857  1 V 1.68
O  0.4656  0.7824  0.0421  1 V 1.68
O  0.7987  0.8991  0.1857  1 V 1.68
O  0.2824  0.9656  0.0421  1 V 1.68
O  0.5999  0.9095  0.2489  1 V 1.68
O  0.9224  0.2666  0.6008  2 V 1.80-1.84
O  0.6009  0.7013  0.8143  1 V 1.68
O  0.0697  0.5697  0.1891  2 V 1.82
O  0.9944  0.0056  0.7748  2 V 1.82
O  0.6868  0.3132  0.3000  1 V 1.68
O  0.8991  0.7987  0.8143  1 V 1.68
O  0.1868  0.8132  0.7000  1 V 1.68
O  0.0056  0.9944  0.2252  2 V 1.82
O  0.3651  0.3651  0.5000  2 V 1.83
O  0.4095  0.0999  0.2489  1 V 1.68
O  0.5056  0.4944  0.7748  2 V 1.82
O  0.0344  0.7176  0.0421  1 V 1.68
O  0.1349  0.1349  0.5000  2 V 1.83
O  0.5776  0.2334  0.6008  2 V 1.80-1.84
O  0.8132  0.1868  0.3000  1 V 1.68
O  0.5344  0.2176  0.9579  1 V 1.68
O  0.5905  0.9001  0.7511  1 V 1.68
O  0.0776  0.7334  0.3992  2 V 1.80-1.84
O  0.5697  0.0697  0.8109  2 V 1.82
O  0.3991  0.2987  0.1857  1 V 1.68
O  0.2880  0.3943  0.1989  1 V 1.68
O  0.4303  0.9303  0.1891  2 V 1.82
O  0.3943  0.2880  0.8011  1 V 1.68
O  0.9656  0.2824  0.9579  1 V 1.68
O  0.9001  0.5905  0.2489  1 V 1.68
O  0.2176  0.5344  0.0421  1 V 1.68
O  0.7334  0.0776  0.6008  2 V 1.80-1.84
O  0.0936  0.9064  0.5589  1 V 1.66
O  0.1009  0.2013  0.1857  1 V 1.68